No. 1
The following is a PBE+U calculation of LaCoO3 after structural relaxation, from Materials Project.

Output
Theoretical density = 7.342 g cm⁻³
Raw total energy = -7.166 eV/atom

Cell: 3.817 3.817 3.817 Å, 90.00 90.00 90.00°
Fractional positions:
La (0.500, 0.500, 0.500)
Co (0.000, 0.000, 0.000)
O (0.500, 0.000, 0.000)
O (0.000, 0.500, 0.000)
O (0.000, 0.000, 0.500)

No. 2
The following is a PBE+U calculation of LaCoO3 after structural relaxation, from Materials Project.

Output
Theoretical density = 6.890 g cm⁻³
Raw total energy = -7.195 eV/atom

Cell: 5.467 5.550 7.810 Å, 90.00 90.00 90.00°
Fractional positions:
La (0.510, 0.994, 0.750)
La (0.990, 0.494, 0.250)
La (0.010, 0.506, 0.750)
La (0.490, 0.006, 0.250)
Co (0.500, 0.500, 0.500)
Co (0.000, 0.000, 0.500)
Co (0.000, 0.000, 0.000)
Co (0.500, 0.500, 0.000)
O (0.236, 0.255, 0.458)
O (0.264, 0.755, 0.542)
O (0.736, 0.245, 0.042)
O (0.764, 0.745, 0.958)
O (0.764, 0.745, 0.542)
O (0.736, 0.245, 0.458)
O (0.264, 0.755, 0.958)
O (0.236, 0.255, 0.042)
O (0.998, 0.073, 0.750)
O (0.502, 0.573, 0.250)
O (0.498, 0.427, 0.750)
O (0.002, 0.927, 0.250)

No. 3
The following is a PBE+U calculation of LaCoSbPbO6 after structural relaxation, from Materials Project.

Output
Theoretical density = 7.729 g cm⁻³
Raw total energy = -6.612 eV/atom

Cell: 8.130 8.133 9.915 Å, 66.02 66.04 90.57°
Fractional positions:
La (0.096, 0.641, 0.752)
La (0.596, 0.141, 0.752)
La (0.391, 0.346, 0.252)
La (0.891, 0.846, 0.252)
Co (0.503, 0.993, 0.502)
Co (0.243, 0.253, 0.002)
Co (0.003, 0.493, 0.502)
Co (0.743, 0.753, 0.002)
Sb (0.253, 0.747, 0.000)
Sb (0.753, 0.247, 0.999)
Sb (0.497, 0.503, 0.499)
Sb (0.997, 0.003, 0.499)
Pb (0.383, 0.867, 0.253)
Pb (0.882, 0.367, 0.253)
Pb (0.117, 0.133, 0.753)
Pb (0.617, 0.633, 0.753)
O (0.572, 0.581, 0.257)
O (0.072, 0.081, 0.258)
O (0.331, 0.822, 0.758)
O (0.831, 0.322, 0.757)
O (0.924, 0.898, 0.743)
O (0.424, 0.397, 0.743)
O (0.147, 0.674, 0.244)
O (0.648, 0.174, 0.243)
O (0.568, 0.765, 0.454)
O (0.068, 0.265, 0.454)
O (0.015, 0.318, 0.954)
O (0.515, 0.818, 0.954)
O (0.951, 0.740, 0.535)
O (0.451, 0.240, 0.535)
O (0.490, 0.201, 0.035)
O (0.990, 0.701, 0.035)
O (0.261, 0.990, 0.461)
O (0.761, 0.490, 0.461)
O (0.740, 0.511, 0.961)
O (0.240, 0.011, 0.961)
O (0.237, 0.530, 0.543)
O (0.737, 0.030, 0.543)
O (0.780, 0.987, 0.043)
O (0.280, 0.487, 0.043)

No. 4
The following is a PBE+U calculation of La4Co3ReO12 after structural relaxation, from Materials Project.

Output
Theoretical density = 7.437 g cm⁻³
Raw total energy = -7.567 eV/atom

Cell: 5.553 8.043 5.553 Å, 90.00 90.00 90.00°
Fractional positions:
La (0.500, 0.273, 0.000)
La (0.000, 0.727, 0.500)
La (0.500, 0.727, 0.000)
La (0.000, 0.273, 0.500)
Co (0.000, 0.000, 0.000)
Co (0.500, 0.500, 0.500)
Co (0.000, 0.500, 0.000)
Re (0.500, 0.000, 0.500)
O (0.000, 0.254, 0.000)
O (0.500, 0.758, 0.500)
O (0.252, 0.500, 0.252)
O (0.744, 0.000, 0.744)
O (0.252, 0.500, 0.748)
O (0.744, 0.000, 0.256)
O (0.000, 0.746, 0.000)
O (0.500, 0.242, 0.500)
O (0.748, 0.500, 0.748)
O (0.256, 0.000, 0.256)
O (0.748, 0.500, 0.252)
O (0.256, 0.000, 0.744)